[1]
# Ba2AlTlFe2O7

Crystalline Ba2AlTlFe2O7 at its relaxed geometry (PBE+U, the Materials Project).

DFT total energy   -5.96 eV/atom
ρ   6.27 g/cm3
Distance to the lowest polymorph of the same formula   159 meV/atom
Formation enthalpy at 0 K   -2442.2 kJ/mol of formula units

a = 3.858 Å, b = 3.858 Å, c = 12.991 Å
α = 90.00°, β = 90.00°, γ = 90.00°
Space group P4/mmm (No. 123)
Symmetry-distinct sites (fractional):
Ba  0.000  0.000  0.205 (multiplicity 2)
Al  0.000  0.000  0.500 (multiplicity 1)
Tl  0.500  0.500  0.000 (multiplicity 1)
Fe  0.500  0.500  0.385 (multiplicity 2)
O  0.000  0.000  0.000 (multiplicity 1)
O  0.000  0.500  0.403 (multiplicity 4)
O  0.500  0.500  0.169 (multiplicity 2)


[2]
# Ba2AlTlFe2O7

Crystalline Ba2AlTlFe2O7 at its relaxed geometry (PBE+U, the Materials Project).

DFT total energy   -6.12 eV/atom
ρ   6.15 g/cm3
Distance to the lowest polymorph of the same formula   0 meV/atom
Formation enthalpy at 0 K   -2641.1 kJ/mol of formula units

a = 4.037 Å, b = 4.103 Å, c = 12.028 Å
α = 84.21°, β = 84.44°, γ = 87.30°
Space group P1 (No. 1)
Symmetry-distinct sites (fractional):
Ba  0.000  0.000  0.000 (multiplicity 1)
Ba  0.128  0.134  0.568 (multiplicity 1)
Al  0.064  0.066  0.284 (multiplicity 1)
Tl  0.569  0.630  0.783 (multiplicity 1)
Fe  0.483  0.480  0.162 (multiplicity 1)
Fe  0.647  0.650  0.409 (multiplicity 1)
O  0.051  0.924  0.782 (multiplicity 1)
O  0.161  0.721  0.390 (multiplicity 1)
O  0.417  0.961  0.180 (multiplicity 1)
O  0.516  0.497  0.964 (multiplicity 1)
O  0.602  0.592  0.601 (multiplicity 1)
O  0.711  0.170  0.388 (multiplicity 1)
O  0.968  0.414  0.180 (multiplicity 1)


[3]
# BaMn4AlO7

Crystalline BaMn4AlO7 at its relaxed geometry (PBE+U, the Materials Project).

DFT total energy   -7.32 eV/atom
ρ   4.76 g/cm3
Formation enthalpy at 0 K   -2867.0 kJ/mol of formula units

a = 6.3085 Å, b = 6.3085 Å, c = 10.0403 Å
α = 90.00°, β = 90.00°, γ = 120.00°
Space group P6_3mc (No. 186)
Symmetry-distinct sites (fractional):
Ba  0.3333  0.6667  0.0000 (multiplicity 2)
Mn  0.0000  0.0000  0.4253 (multiplicity 2)
Mn  0.1778  0.3556  0.6746 (multiplicity 6)
Al  0.3333  0.6667  0.3645 (multiplicity 2)
O  0.0000  0.0000  0.2128 (multiplicity 2)
O  0.0403  0.5202  0.2405 (multiplicity 6)
O  0.1842  0.3684  0.4712 (multiplicity 6)